1.
First-principles (PBE with a Hubbard U) data for a relaxed Rb2LiNiF6 crystal, as listed in Materials Project.

Calculated values
Energy of formation = -60.17 kcal/mol of atoms
Total energy after the MP2020 corrections = -47.2 eV/cell
Space group = Fm-3m (225)
Energy = -4.192 eV/atom
Calculated density = 4.1 g cm⁻³

a b c (Å): 5.846 5.846 5.846
angles (deg): 60.00 60.00 60.00
Positions (direct):
F: 0.767 0.233 0.767
Rb: 0.750 0.750 0.750
F: 0.233 0.233 0.767
F: 0.767 0.233 0.233
F: 0.233 0.767 0.767
F: 0.767 0.767 0.233
Rb: 0.250 0.250 0.250
Li: 0.500 0.500 0.500
Ni: 0.000 0.000 0.000
F: 0.233 0.767 0.233

***

2.
First-principles (PBE with a Hubbard U) data for a relaxed LiNiRhF6 crystal, as listed in Materials Project.

Calculated values
Energy of formation = -53.36 kcal/mol of atoms
Total energy after the MP2020 corrections = -94.7 eV/cell
Space group = P4_2nm (102)
Energy = -4.673 eV/atom
Piezoelectric modulus e_max = 0.09 C/m2
Calculated density = 4.5 g cm⁻³

a b c (Å): 4.706 4.706 9.319
angles (deg): 90.00 90.00 90.00
Positions (direct):
F: 0.694 0.694 0.999
Ni: 0.000 0.000 0.669
F: 0.198 0.802 0.834
F: 0.696 0.696 0.667
F: 0.306 0.306 0.999
Ni: 0.500 0.500 0.169
F: 0.302 0.302 0.334
F: 0.804 0.196 0.167
F: 0.802 0.198 0.834
F: 0.806 0.194 0.499
Rh: 0.500 0.500 0.833
F: 0.698 0.698 0.334
Li: 0.500 0.500 0.499
F: 0.304 0.304 0.667
F: 0.194 0.806 0.499
F: 0.196 0.804 0.167
Rh: 0.000 0.000 0.333
Li: 0.000 0.000 0.999

***

3.
First-principles (PBE with a Hubbard U) data for a relaxed Li3V2P2O8F3 crystal, as listed in Materials Project.

Calculated values
Energy of formation = -64.89 kcal/mol of atoms
Total energy after the MP2020 corrections = -522.8 eV/cell
Space group = Pnnm (58)
Energy = -6.690 eV/atom
Calculated density = 2.8 g cm⁻³

a b c (Å): 8.923 9.210 10.507
angles (deg): 90.00 90.00 90.00
Positions (direct):
O: 0.401 0.407 0.864
O: 0.599 0.593 0.136
O: 0.923 0.387 0.648
O: 0.077 0.613 0.648
Li: 0.269 0.993 0.500
P: 0.000 0.500 0.264
P: 0.000 0.000 0.275
Li: 0.438 0.314 0.500
V: 0.251 0.249 0.185
Li: 0.537 0.218 0.000
O: 0.114 0.424 0.176
F: 0.223 0.747 0.876
F: 0.277 0.247 0.376
F: 0.723 0.753 0.624
O: 0.614 0.076 0.676
O: 0.901 0.093 0.636
Li: 0.769 0.507 0.000
O: 0.886 0.576 0.824
O: 0.923 0.387 0.352
O: 0.091 0.099 0.816
O: 0.591 0.401 0.316
V: 0.749 0.751 0.815
Li: 0.062 0.814 0.000
O: 0.409 0.599 0.684
O: 0.099 0.907 0.364
O: 0.114 0.424 0.824
Li: 0.562 0.686 0.500
Li: 0.731 0.007 0.500
F: 0.801 0.749 0.000
V: 0.251 0.249 0.815
O: 0.901 0.093 0.364
O: 0.099 0.907 0.636
V: 0.751 0.251 0.315
F: 0.277 0.247 0.624
O: 0.909 0.901 0.816
F: 0.199 0.251 0.000
O: 0.577 0.887 0.852
O: 0.386 0.924 0.324
V: 0.749 0.751 0.185
V: 0.249 0.749 0.685
V: 0.751 0.251 0.685
F: 0.777 0.253 0.876
V: 0.249 0.749 0.315
O: 0.077 0.613 0.352
O: 0.909 0.901 0.184
P: 0.500 0.500 0.775
F: 0.301 0.751 0.500
Li: 0.963 0.718 0.500
P: 0.000 0.000 0.725
P: 0.000 0.500 0.736
O: 0.386 0.924 0.676
P: 0.500 0.000 0.236
O: 0.577 0.887 0.148
O: 0.401 0.407 0.136
Li: 0.463 0.782 0.000
O: 0.599 0.593 0.864
O: 0.423 0.113 0.852
Li: 0.231 0.493 0.000
F: 0.223 0.747 0.124
F: 0.699 0.249 0.500
O: 0.409 0.599 0.316
O: 0.091 0.099 0.184
O: 0.886 0.576 0.176
F: 0.723 0.753 0.376
P: 0.500 0.500 0.225
F: 0.777 0.253 0.124
Li: 0.037 0.282 0.500
Li: 0.938 0.186 0.000
O: 0.423 0.113 0.148
O: 0.591 0.401 0.684
P: 0.500 0.000 0.764
O: 0.614 0.076 0.324